# Na5Ga4P5SO24

Na5Ga4P5SO24 after structural relaxation (PBE-GGA, Materials Project).

Summary:
- electronic total energy (eV per atom) = -6.375
- total moment (μB per cell) = 0.0
- DFT formation energy (kJ/mol of formula units) = -9306
- V (A^3/atom) = 12.2

abc: 8.662 8.675 21.915
angles: 90.45 89.77 119.93
Element x y z (fractional)
S  0.330  0.372  0.417
S  0.289  0.001  0.250
S  0.623  0.667  0.917
Na  0.997  0.005  0.999
Na  0.033  0.335  0.084
Na  0.031  0.700  0.583
Na  0.702  0.669  0.417
Na  0.341  0.657  0.667
Na  0.640  0.000  0.250
Na  0.658  0.329  0.834
Na  0.667  0.968  0.584
Na  0.335  0.654  0.168
Na  0.997  0.363  0.750
Na  0.677  0.337  0.333
Na  0.972  0.667  0.917
Na  0.365  0.999  0.751
Na  0.013  0.013  0.499
Na  0.301  0.970  0.082
O  0.514  0.636  0.862
O  0.511  0.874  0.358
O  0.499  0.648  0.576
O  0.311  0.841  0.255
O  0.492  0.366  0.141
O  0.878  0.504  0.137
O  0.787  0.965  0.690
O  0.965  0.170  0.305
O  0.207  0.029  0.305
O  0.818  0.783  0.310
O  0.128  0.633  0.360
O  0.701  0.543  0.524
O  0.353  0.500  0.077
O  0.152  0.698  0.476
O  0.626  0.118  0.142
O  0.171  0.194  0.409
O  0.172  0.215  0.694
O  0.884  0.373  0.642
O  0.123  0.491  0.860
O  0.790  0.828  0.196
O  0.146  0.504  0.576
O  0.479  0.308  0.743
O  0.983  0.816  0.090
O  0.036  0.826  0.693
O  0.184  0.972  0.194
O  0.828  0.303  0.244
O  0.308  0.479  0.758
O  0.185  0.018  0.589
O  0.493  0.122  0.641
O  0.836  0.026  0.090
O  0.833  0.519  0.745
O  0.471  0.159  0.246
O  0.357  0.858  0.578
O  0.521  0.693  0.257
O  0.299  0.452  0.472
O  0.810  0.975  0.411
O  0.459  0.295  0.027
O  0.461  0.163  0.527
O  0.832  0.037  0.805
O  0.544  0.697  0.972
O  0.519  0.832  0.756
O  0.494  0.359  0.422
O  0.832  0.809  0.588
O  0.851  0.504  0.422
O  0.161  0.970  0.911
O  0.645  0.508  0.922
O  0.155  0.455  0.975
O  0.857  0.363  0.923
O  0.299  0.842  0.974
O  0.145  0.646  0.077
O  0.021  0.186  0.911
O  0.688  0.165  0.745
O  0.217  0.174  0.806
O  0.496  0.856  0.076
O  0.368  0.487  0.362
O  0.544  0.839  0.473
O  0.708  0.162  0.029
O  0.804  0.826  0.912
O  0.166  0.689  0.756
O  0.190  0.167  0.090
O  0.639  0.145  0.422
O  0.366  0.878  0.858
O  0.840  0.292  0.528
O  0.844  0.547  0.023
O  0.975  0.163  0.590
O  0.687  0.518  0.244
O  0.502  0.147  0.923
O  0.035  0.214  0.191
O  0.170  0.480  0.257
O  0.632  0.508  0.639
O  0.023  0.836  0.410
O  0.967  0.792  0.809
P  0.380  0.337  0.084
P  0.003  0.294  0.250
P  0.706  0.703  0.251
P  0.709  0.996  0.750
P  0.962  0.333  0.584
P  0.043  0.668  0.417
P  0.662  0.621  0.582
P  0.622  0.961  0.416
P  0.041  0.372  0.917
P  0.376  0.048  0.583
P  0.955  0.626  0.082
P  0.995  0.709  0.751
P  0.665  0.040  0.084
P  0.295  0.295  0.750
P  0.336  0.962  0.917
Ga  0.333  0.664  0.018
Ga  0.010  0.014  0.850
Ga  0.325  0.658  0.316
Ga  0.676  0.349  0.183
Ga  0.004  0.006  0.650
Ga  0.674  0.327  0.483
Ga  0.989  0.995  0.351
Ga  0.335  0.669  0.816
Ga  0.332  0.670  0.518
Ga  0.663  0.320  0.983
Ga  0.665  0.340  0.684
Ga  0.988  0.997  0.149